1.
Li3CoSiBO7: optimized geometry, PBE with a Hubbard U.

space-group type: P2_1/m, No. 11
calculated formation energy: -2355 meV/atom
total moment: 1.9 Bohr magnetons per cell

Unit cell a=5.018 b=6.138 c=8.323 alpha=90.00 beta=95.89 gamma=90.00
Positions (direct):
Li 0.241 0.250 0.105
Li 0.253 0.002 0.749
Li 0.253 0.498 0.749
Li 0.747 0.502 0.251
Li 0.747 0.998 0.251
Li 0.759 0.750 0.895
Co 0.200 0.750 0.315
Co 0.800 0.250 0.685
Si 0.277 0.250 0.431
Si 0.723 0.750 0.569
B 0.286 0.750 0.040
B 0.714 0.250 0.960
O 0.029 0.750 0.089
O 0.133 0.250 0.596
O 0.181 0.052 0.302
O 0.181 0.448 0.302
O 0.358 0.750 0.890
O 0.397 0.750 0.525
O 0.473 0.750 0.178
O 0.527 0.250 0.822
O 0.603 0.250 0.475
O 0.642 0.250 0.110
O 0.819 0.552 0.698
O 0.819 0.948 0.698
O 0.867 0.750 0.404
O 0.971 0.250 0.911

---

2.
KMoIO6: optimized geometry, PBE with a Hubbard U.

space-group type: P2_1/c, No. 14
calculated formation energy: -1636 meV/atom
total moment: 0.0 Bohr magnetons per cell

Unit cell a=7.720 b=7.565 c=10.943 alpha=90.00 beta=111.76 gamma=90.00
Positions (direct):
K 0.081 0.229 0.423
K 0.081 0.271 0.923
K 0.919 0.729 0.077
K 0.919 0.771 0.577
Mo 0.490 0.501 0.222
Mo 0.490 0.999 0.722
Mo 0.510 0.001 0.278
Mo 0.510 0.499 0.778
I 0.312 0.675 0.456
I 0.312 0.825 0.956
I 0.688 0.175 0.044
I 0.688 0.325 0.544
O 0.073 0.713 0.353
O 0.073 0.787 0.853
O 0.271 0.547 0.589
O 0.271 0.953 0.089
O 0.272 0.566 0.100
O 0.272 0.934 0.600
O 0.352 0.029 0.869
O 0.352 0.471 0.369
O 0.354 0.051 0.356
O 0.354 0.449 0.856
O 0.476 0.244 0.698
O 0.476 0.256 0.198
O 0.524 0.744 0.802
O 0.524 0.756 0.302
O 0.646 0.551 0.144
O 0.646 0.949 0.644
O 0.648 0.529 0.631
O 0.648 0.971 0.131
O 0.728 0.066 0.400
O 0.728 0.434 0.900
O 0.729 0.047 0.911
O 0.729 0.453 0.411
O 0.927 0.213 0.147
O 0.927 0.287 0.647

---

3.
Na2NiPCO7: optimized geometry, PBE with a Hubbard U.

space-group type: P2_1/m, No. 11
calculated formation energy: -2088 meV/atom
total moment: 2.0 Bohr magnetons per cell

Unit cell a=5.103 b=6.811 c=8.720 alpha=90.00 beta=91.67 gamma=90.00
Positions (direct):
Na 0.247 0.014 0.243
Na 0.247 0.486 0.243
Na 0.753 0.514 0.757
Na 0.753 0.986 0.757
Ni 0.220 0.250 0.848
Ni 0.780 0.750 0.152
P 0.279 0.750 0.918
P 0.721 0.250 0.082
C 0.285 0.250 0.574
C 0.715 0.750 0.426
O 0.058 0.250 0.637
O 0.139 0.750 0.074
O 0.213 0.565 0.824
O 0.213 0.935 0.824
O 0.316 0.250 0.432
O 0.418 0.250 0.042
O 0.478 0.250 0.675
O 0.522 0.750 0.325
O 0.582 0.750 0.958
O 0.684 0.750 0.568
O 0.787 0.065 0.176
O 0.787 0.435 0.176
O 0.861 0.250 0.926
O 0.942 0.750 0.363

---

4.
LiVP3O9: optimized geometry, PBE with a Hubbard U.

space-group type: P2_12_12_1, No. 19
calculated formation energy: -2638 meV/atom
total moment: 12.0 Bohr magnetons per cell

Unit cell a=8.571 b=8.613 c=9.023 alpha=90.00 beta=90.00 gamma=90.00
Positions (direct):
Li 0.106 0.120 0.088
Li 0.394 0.880 0.588
Li 0.606 0.380 0.912
Li 0.894 0.620 0.412
V 0.119 0.903 0.360
V 0.381 0.097 0.860
V 0.619 0.597 0.640
V 0.881 0.403 0.140
P 0.061 0.051 0.682
P 0.067 0.279 0.432
P 0.226 0.441 0.942
P 0.274 0.559 0.442
P 0.433 0.721 0.932
P 0.439 0.949 0.182
P 0.561 0.449 0.318
P 0.567 0.221 0.568
P 0.726 0.059 0.058
P 0.774 0.941 0.558
P 0.933 0.779 0.068
P 0.939 0.551 0.818
O 0.021 0.209 0.592
O 0.062 0.880 0.125
O 0.113 0.480 0.801
O 0.122 0.091 0.833
O 0.122 0.152 0.331
O 0.128 0.380 0.068
O 0.139 0.656 0.390
O 0.160 0.943 0.590
O 0.211 0.389 0.484
O 0.289 0.611 0.984
O 0.340 0.057 0.090
O 0.361 0.344 0.890
O 0.372 0.620 0.568
O 0.378 0.848 0.831
O 0.378 0.909 0.333
O 0.387 0.520 0.301
O 0.438 0.120 0.625
O 0.479 0.791 0.092
O 0.521 0.291 0.408
O 0.562 0.620 0.875
O 0.613 0.020 0.199
O 0.622 0.348 0.669
O 0.622 0.409 0.167
O 0.628 0.120 0.932
O 0.639 0.844 0.610
O 0.660 0.557 0.410
O 0.711 0.111 0.516
O 0.789 0.889 0.016
O 0.840 0.443 0.910
O 0.861 0.156 0.110
O 0.872 0.880 0.432
O 0.878 0.591 0.667
O 0.878 0.652 0.169
O 0.887 0.980 0.699
O 0.938 0.380 0.375
O 0.979 0.709 0.908

---

| no. | total energy (eV/atom) | calculated volume (Å³ per atom) |
| --- | --- | --- |
| 1 | -6.442 | 9.81 |
| 2 | -5.618 | 16.49 |
| 3 | -6.284 | 12.62 |
| 4 | -7.200 | 11.89 |